# 1
First-principles (PBE-GGA) data for SrZrInSbO6 after structural relaxation, as listed in the Materials Project.

```
SrZrInSbO6
1.0
-2.892 -0.130 -5.071
-5.805 0.624 -0.067
-2.387 4.887 -2.125
Sr O In Zr Sb
1 6 1 1 1
Direct
0.750 0.750 0.750
0.756 0.244 0.244
0.756 0.756 0.244
0.244 0.756 0.756
0.244 0.756 0.244
0.244 0.244 0.756
0.756 0.244 0.756
0.250 0.250 0.250
0.500 0.500 0.500
0.000 0.000 0.000
```

Output
**M_tot**: 0.000 Bohr magnetons per cell
**Uncorrected energy**: -6.856 eV/atom
**Space group**: F-43m, No. 216
**ΔH_f (0 K)**: -2.59 eV/atom



# 2
First-principles (PBE-GGA) data for ScInO6 after structural relaxation, as listed in the Materials Project.

```
ScInO6
1.0
-5.696 1.209 -2.264
-1.107 -3.800 -4.834
-5.437 -4.840 -0.275
O In Sc
12 2 2
Direct
0.909 0.111 0.308
0.666 0.666 0.426
0.418 0.782 0.905
0.091 0.889 0.692
0.692 0.692 0.201
0.334 0.334 0.574
0.308 0.308 0.799
0.111 0.909 0.308
0.889 0.091 0.692
0.218 0.582 0.095
0.782 0.418 0.905
0.582 0.218 0.095
0.000 0.500 0.500
0.500 0.000 0.500
0.500 0.000 0.000
0.000 0.500 0.000
```

Output
**M_tot**: 0.000 Bohr magnetons per cell
**Uncorrected energy**: -5.967 eV/atom
**Space group**: C2/m, No. 12
**ΔH_f (0 K)**: -1.24 eV/atom



# 3
First-principles (PBE-GGA) data for InSe2O6 after structural relaxation, as listed in the Materials Project.

```
InSe2O6
1.0
10.221 0.000 0.000
0.000 6.864 0.000
0.000 0.066 8.725
In O Se
4 24 8
Direct
0.009 0.049 0.700
0.991 0.951 0.300
0.491 0.049 0.200
0.509 0.951 0.800
0.324 0.953 0.679
0.880 0.899 0.097
0.542 0.268 0.768
0.631 0.977 0.008
0.138 0.494 0.106
0.995 0.639 0.354
0.120 0.101 0.903
0.638 0.506 0.394
0.362 0.494 0.606
0.005 0.361 0.646
0.505 0.639 0.854
0.958 0.268 0.268
0.495 0.361 0.146
0.131 0.023 0.492
0.869 0.977 0.508
0.862 0.506 0.894
0.380 0.101 0.403
0.824 0.047 0.821
0.620 0.899 0.597
0.176 0.953 0.179
0.458 0.732 0.232
0.369 0.023 0.992
0.676 0.047 0.321
0.042 0.732 0.732
0.424 0.444 0.778
0.924 0.556 0.722
0.792 0.084 0.012
0.208 0.916 0.988
0.576 0.556 0.222
0.076 0.444 0.278
0.708 0.084 0.512
0.292 0.916 0.488
```

Output
**M_tot**: 4.001 Bohr magnetons per cell
**Uncorrected energy**: -5.240 eV/atom
**Space group**: P2_1/c, No. 14
**ΔH_f (0 K)**: -1.32 eV/atom



# 4
First-principles (PBE-GGA) data for In2Se6O15 after structural relaxation, as listed in the Materials Project.

```
In2Se6O15
1.0
13.592 0.000 0.000
0.000 10.063 0.000
0.000 3.051 11.101
Se O In
24 60 8
Direct
0.765 0.247 0.063
0.045 0.182 0.802
0.534 0.689 0.543
0.713 0.419 0.363
0.796 0.917 0.383
0.510 0.842 0.120
0.014 0.855 0.109
0.287 0.919 0.363
0.466 0.189 0.543
0.044 0.684 0.539
0.235 0.747 0.063
0.955 0.682 0.802
0.772 0.421 0.639
0.956 0.184 0.539
0.228 0.921 0.639
0.534 0.186 0.820
0.261 0.277 0.078
0.490 0.342 0.120
0.204 0.417 0.383
0.299 0.415 0.645
0.466 0.686 0.820
0.701 0.915 0.645
0.986 0.355 0.109
0.739 0.777 0.078
0.445 0.653 0.669
0.143 0.080 0.790
0.088 0.832 0.443
0.348 0.263 0.728
0.055 0.252 0.219
0.452 0.666 0.439
0.639 0.110 0.883
0.228 0.335 0.543
0.294 0.901 0.019
0.835 0.241 0.941
0.294 0.538 0.347
0.542 0.865 0.508
0.315 0.946 0.737
0.106 0.519 0.392
0.794 0.940 0.735
0.045 0.559 0.833
0.685 0.446 0.737
0.706 0.038 0.347
0.205 0.050 0.308
0.225 0.189 0.978
0.361 0.610 0.883
0.417 0.364 0.236
0.945 0.752 0.219
0.857 0.580 0.790
0.862 0.284 0.162
0.775 0.689 0.978
0.316 0.945 0.512
0.548 0.166 0.439
0.684 0.445 0.512
0.912 0.332 0.443
0.940 0.642 0.474
0.610 0.495 0.291
0.206 0.440 0.735
0.458 0.365 0.508
0.955 0.059 0.833
0.390 0.995 0.291
0.452 0.688 0.171
0.772 0.835 0.543
0.787 0.247 0.675
0.548 0.188 0.171
0.211 0.436 0.021
0.982 0.771 0.645
0.165 0.741 0.941
0.452 0.060 0.886
0.138 0.784 0.162
0.018 0.004 0.153
0.213 0.747 0.675
0.652 0.763 0.728
0.555 0.153 0.669
0.982 0.504 0.153
0.608 0.795 0.027
0.018 0.271 0.645
0.706 0.401 0.019
0.548 0.560 0.886
0.392 0.295 0.027
0.060 0.142 0.474
0.789 0.936 0.021
0.894 0.019 0.392
0.583 0.864 0.236
0.795 0.550 0.308
0.204 0.587 0.844
0.954 0.536 0.329
0.293 0.077 0.861
0.046 0.036 0.329
0.707 0.577 0.861
0.545 0.017 0.333
0.796 0.087 0.844
0.455 0.517 0.333
```

Output
**Uncorrected energy**: -5.322 eV/atom
**Space group**: Pc, No. 7
**ΔH_f (0 K)**: -1.39 eV/atom



# 5
First-principles (PBE-GGA) data for ZnIn2Se4O12 after structural relaxation, as listed in the Materials Project.

```
ZnIn2Se4O12
1.0
4.896 0.000 0.000
0.000 8.615 0.000
0.000 5.625 14.672
O Se Zn In
24 8 2 4
Direct
0.793 0.827 0.124
0.672 0.706 0.337
0.840 0.237 0.971
0.271 0.636 0.713
0.208 0.050 0.595
0.340 0.763 0.529
0.708 0.950 0.905
0.792 0.950 0.405
0.207 0.173 0.876
0.229 0.636 0.213
0.771 0.364 0.787
0.869 0.098 0.702
0.292 0.050 0.095
0.660 0.237 0.471
0.729 0.364 0.287
0.131 0.902 0.298
0.707 0.827 0.624
0.293 0.173 0.376
0.328 0.294 0.663
0.828 0.706 0.837
0.631 0.098 0.202
0.172 0.294 0.163
0.160 0.763 0.029
0.369 0.902 0.798
0.928 0.775 0.390
0.992 0.652 0.128
0.008 0.348 0.872
0.428 0.225 0.110
0.508 0.652 0.628
0.072 0.225 0.610
0.572 0.775 0.890
0.492 0.348 0.372
0.500 0.000 0.500
0.000 0.000 0.000
0.963 0.155 0.287
0.463 0.845 0.213
0.037 0.845 0.713
0.537 0.155 0.787
```

Output
**M_tot**: 0.000 Bohr magnetons per cell
**Uncorrected energy**: -5.307 eV/atom
**Space group**: P2_1/c, No. 14
**ΔH_f (0 K)**: -1.52 eV/atom



# 6
First-principles (PBE-GGA) data for InSiO3 after structural relaxation, as listed in the Materials Project.

```
InSiO3
1.0
3.663 0.000 0.000
0.000 3.663 0.000
0.000 0.000 3.663
O Si In
3 1 1
Direct
0.000 0.500 0.500
0.500 0.000 0.500
0.500 0.500 0.000
0.500 0.500 0.500
0.000 0.000 0.000
```

Output
**M_tot**: 0.004 Bohr magnetons per cell
**Uncorrected energy**: -6.256 eV/atom
**Space group**: Pm-3m, No. 221
**ΔH_f (0 K)**: -2.06 eV/atom



# 7
First-principles (PBE-GGA) data for In2Si2O7 after structural relaxation, as listed in the Materials Project.

```
In2Si2O7
1.0
-5.835 3.372 0.397
-1.397 4.866 -4.465
-4.783 -0.970 -4.664
O In Si
14 4 4
Direct
0.250 0.250 0.250
0.554 0.946 0.946
0.696 0.304 0.696
0.304 0.304 0.696
0.304 0.696 0.696
0.946 0.554 0.946
0.946 0.554 0.554
0.554 0.946 0.554
0.696 0.304 0.304
0.000 0.000 0.000
0.304 0.696 0.304
0.696 0.696 0.304
0.946 0.946 0.554
0.554 0.554 0.946
0.125 0.625 0.125
0.625 0.125 0.125
0.125 0.125 0.125
0.125 0.125 0.625
0.125 0.625 0.625
0.625 0.125 0.625
0.625 0.625 0.625
0.625 0.625 0.125
```

Output
**M_tot**: 0.001 Bohr magnetons per cell
**Energy above the most stable polymorph in this dataset**: 12.2 kJ/mol of atoms
**Uncorrected energy**: -6.757 eV/atom
**Space group**: Fd-3m, No. 227
**ΔH_f (0 K)**: -2.56 eV/atom



# 8
First-principles (PBE-GGA) data for In2Si2O7 after structural relaxation, as listed in the Materials Project.

```
In2Si2O7
1.0
0.932 2.454 3.975
-5.449 0.862 -0.153
-2.116 -3.595 3.614
O In Si
7 2 2
Direct
0.782 0.611 0.079
0.284 0.610 0.390
0.218 0.079 0.611
0.218 0.389 0.921
0.782 0.921 0.389
0.716 0.390 0.610
0.500 0.000 0.000
0.000 0.692 0.692
0.000 0.308 0.308
0.409 0.219 0.781
0.591 0.781 0.219
```

Output
**Energy above the most stable polymorph in this dataset**: 0.0 kJ/mol of atoms
**Uncorrected energy**: -6.883 eV/atom
**Space group**: C2/m, No. 12
**ΔH_f (0 K)**: -2.69 eV/atom



# 9
First-principles (PBE-GGA) data for In15SnO24 after structural relaxation, as listed in the Materials Project.

```
In15SnO24
1.0
-4.724 -7.327 -1.937
1.287 -2.184 -8.563
3.968 -8.929 -3.330
O In Sn
24 15 1
Direct
0.772 0.465 0.241
0.008 0.772 0.012
0.727 0.037 0.979
0.225 0.535 0.260
0.735 0.956 0.289
0.963 0.273 0.021
0.535 0.228 0.759
0.044 0.265 0.711
0.271 0.509 0.706
0.993 0.218 0.486
0.768 0.541 0.478
0.236 0.456 0.022
0.459 0.232 0.522
0.491 0.729 0.294
0.506 0.271 0.207
0.252 0.045 0.224
0.544 0.764 0.978
0.265 0.961 0.522
0.955 0.748 0.776
0.039 0.735 0.478
0.465 0.775 0.740
0.782 0.007 0.514
0.729 0.494 0.793
0.228 0.992 0.988
0.750 0.751 0.034
0.217 0.715 0.785
0.501 0.000 0.250
0.000 0.499 0.249
0.252 0.251 0.465
0.749 0.748 0.535
0.501 0.000 0.751
0.966 0.034 0.000
0.717 0.217 0.283
0.534 0.466 0.500
0.285 0.783 0.215
0.783 0.283 0.717
0.000 0.499 0.750
0.249 0.250 0.966
0.466 0.534 0.000
0.035 0.965 0.500
```

Output
**Uncorrected energy**: -5.685 eV/atom
**Space group**: C2, No. 5
**ΔH_f (0 K)**: -2.00 eV/atom



# 10
First-principles (PBE-GGA) data for In15SnO24 after structural relaxation, as listed in the Materials Project.

```
In15SnO24
1.0
5.162 -7.290 0.000
5.162 7.290 0.000
-5.132 0.000 7.311
In O Sn
15 24 1
Direct
0.715 0.466 0.749
0.285 0.534 0.251
0.500 0.000 0.500
0.784 0.035 0.250
0.000 0.500 0.500
0.466 0.749 0.715
0.251 0.285 0.534
0.035 0.250 0.784
0.749 0.715 0.466
0.750 0.216 0.965
0.534 0.251 0.285
0.965 0.750 0.216
0.500 0.500 0.000
0.216 0.965 0.750
0.250 0.784 0.035
0.730 0.774 0.236
0.455 0.228 0.493
0.236 0.730 0.774
0.007 0.738 0.466
0.993 0.262 0.534
0.493 0.455 0.228
0.270 0.226 0.764
0.046 0.040 0.263
0.466 0.007 0.738
0.262 0.534 0.993
0.737 0.954 0.960
0.263 0.046 0.040
0.228 0.493 0.455
0.960 0.737 0.954
0.738 0.466 0.007
0.764 0.270 0.226
0.534 0.993 0.262
0.774 0.236 0.730
0.954 0.960 0.737
0.040 0.263 0.046
0.507 0.545 0.772
0.772 0.507 0.545
0.226 0.764 0.270
0.545 0.772 0.507
0.000 0.000 0.000
```

Output
**Uncorrected energy**: -5.687 eV/atom
**Space group**: R-3, No. 148
**ΔH_f (0 K)**: -2.00 eV/atom



# 11
First-principles (PBE-GGA) data for Sr2UInO6 after structural relaxation, as listed in the Materials Project.

```
Sr2UInO6
1.0
0.000 4.278 4.278
4.278 0.000 4.278
4.278 4.278 0.000
Sr O In U
2 6 1 1
Direct
0.250 0.250 0.250
0.750 0.750 0.750
0.249 0.751 0.249
0.249 0.249 0.751
0.751 0.751 0.249
0.249 0.751 0.751
0.751 0.249 0.249
0.751 0.249 0.751
0.500 0.500 0.500
0.000 0.000 0.000
```

Output
**M_tot**: 0.999 Bohr magnetons per cell
**Uncorrected energy**: -7.413 eV/atom
**Space group**: Fm-3m, No. 225
**ΔH_f (0 K)**: -3.11 eV/atom



# 12
First-principles (PBE-GGA) data for TaIn3O7 after structural relaxation, as listed in the Materials Project.

```
TaIn3O7
1.0
-6.293 0.000 0.000
0.893 6.250 0.000
-0.030 -2.190 -7.165
In O Ta
6 14 2
Direct
0.738 0.457 0.613
0.530 0.993 0.753
0.734 0.468 0.117
0.262 0.543 0.387
0.470 0.007 0.247
0.266 0.532 0.883
0.919 0.953 0.737
0.081 0.047 0.263
0.556 0.341 0.834
0.707 0.058 0.479
0.293 0.942 0.521
0.292 0.917 0.949
0.526 0.356 0.338
0.474 0.644 0.662
0.095 0.328 0.045
0.444 0.659 0.166
0.708 0.083 0.051
0.933 0.645 0.388
0.905 0.672 0.955
0.067 0.355 0.612
0.000 0.000 0.500
0.000 0.000 0.000
```

Output
**M_tot**: 0.000 Bohr magnetons per cell
**Energy above the most stable polymorph in this dataset**: 0.0 kJ/mol of atoms
**Uncorrected energy**: -6.884 eV/atom
**Space group**: P-1, No. 2
**ΔH_f (0 K)**: -2.34 eV/atom



Q: Which formula does entry 12 have?
A: TaIn3O7